Record 1
Computed, not measured: a geometry-optimized V3O4F2 structure at the PBE+U level of DFT.

## Properties
- Space group: P-1, No. 2
- Energy relative to the lowest polymorph listed for this composition: 0.10 eV per formula unit

Cell lengths 5.6175, 5.6179, 7.1107 Å; angles 73.50, 73.53, 76.08 degrees
Element x y z (fractional)
V (0.0000, 0.0000, 0.0000)
V (0.0000, 0.0000, 0.5000)
V (0.3323, 0.3265, 0.1704)
V (0.3774, 0.2906, 0.6660)
V (0.6226, 0.7094, 0.3340)
V (0.6677, 0.6735, 0.8296)
O (0.1081, 0.1046, 0.6992)
O (0.2376, 0.2344, 0.9614)
O (0.3627, 0.9682, 0.3330)
O (0.4332, 0.4361, 0.3725)
O (0.5668, 0.5639, 0.6275)
O (0.6373, 0.0318, 0.6670)
O (0.7624, 0.7656, 0.0386)
O (0.8919, 0.8954, 0.3008)
F (0.0336, 0.6347, 0.6693)
F (0.3032, 0.6937, 0.0022)
F (0.6968, 0.3063, 0.9978)
F (0.9664, 0.3653, 0.3307)

=====

Record 2
Computed, not measured: a geometry-optimized VOF3 structure at the PBE+U level of DFT.

## Properties
- Space group: P2_1/c, No. 14

Cell lengths 4.9756, 12.4539, 4.9089 Å; angles 90.00, 94.45, 90.00 degrees
Element x y z (fractional)
V (0.0379, 0.1594, 0.2883)
V (0.0379, 0.3406, 0.7883)
V (0.9621, 0.6594, 0.2117)
V (0.9621, 0.8406, 0.7117)
O (0.1806, 0.5779, 0.1119)
O (0.1806, 0.9221, 0.6119)
O (0.8194, 0.0779, 0.3881)
O (0.8194, 0.4221, 0.8881)
F (0.1429, 0.7066, 0.5475)
F (0.1429, 0.7934, 0.0475)
F (0.2593, 0.1919, 0.5930)
F (0.2593, 0.3081, 0.0930)
F (0.2690, 0.0754, 0.1394)
F (0.2690, 0.4246, 0.6394)
F (0.7310, 0.5754, 0.3606)
F (0.7310, 0.9246, 0.8606)
F (0.7407, 0.6919, 0.9070)
F (0.7407, 0.8081, 0.4070)
F (0.8571, 0.2066, 0.9525)
F (0.8571, 0.2934, 0.4525)

=====

Record 3
Computed, not measured: a geometry-optimized V2O3F3 structure at the PBE+U level of DFT.

## Properties
- Space group: P1, No. 1
- Energy relative to the lowest polymorph listed for this composition: 0.18 eV per formula unit

Cell lengths 5.1734, 5.2274, 13.2378 Å; angles 91.15, 90.23, 119.53 degrees
Element x y z (fractional)
V (0.0000, 0.0000, 0.0000)
V (0.0431, 0.0353, 0.5043)
V (0.3082, 0.6849, 0.3326)
V (0.3830, 0.7074, 0.8404)
V (0.6195, 0.3419, 0.1737)
V (0.6622, 0.3330, 0.6623)
O (0.0161, 0.6098, 0.2579)
O (0.0773, 0.7881, 0.9251)
O (0.2460, 0.9418, 0.4292)
O (0.3292, 0.2679, 0.5942)
O (0.3373, 0.1225, 0.0941)
O (0.4428, 0.4508, 0.2572)
O (0.5770, 0.6130, 0.7635)
O (0.6439, 0.9334, 0.9271)
O (0.7504, 0.1198, 0.5922)
F (0.0748, 0.3579, 0.4262)
F (0.2470, 0.3687, 0.9256)
F (0.4075, 0.0259, 0.7600)
F (0.6027, 0.0353, 0.2580)
F (0.6653, 0.7806, 0.4292)
F (0.7411, 0.6942, 0.0952)
F (0.9127, 0.2835, 0.0955)
F (0.9237, 0.6985, 0.5956)
F (0.9922, 0.4462, 0.7622)

=====

Record 4
Computed, not measured: a geometry-optimized V3O4F2 structure at the PBE+U level of DFT.

## Properties
- Space group: P2_1, No. 4
- Energy relative to the lowest polymorph listed for this composition: 0.07 eV per formula unit

Cell lengths 5.6225, 4.6780, 7.7167 Å; angles 90.00, 93.90, 90.00 degrees
Element x y z (fractional)
V (0.0769, 0.0000, 0.3374)
V (0.2454, 0.4662, 0.0012)
V (0.4226, 0.9205, 0.6605)
V (0.5774, 0.4205, 0.3395)
V (0.7546, 0.9662, 0.9988)
V (0.9231, 0.5000, 0.6626)
O (0.0487, 0.1568, 0.1035)
O (0.1285, 0.7818, 0.5644)
O (0.3856, 0.1844, 0.4427)
O (0.4476, 0.7810, 0.8903)
O (0.5524, 0.2810, 0.1097)
O (0.6144, 0.6844, 0.5573)
O (0.8715, 0.2818, 0.4356)
O (0.9513, 0.6568, 0.8965)
F (0.2246, 0.2643, 0.7601)
F (0.2885, 0.6733, 0.2401)
F (0.7115, 0.1733, 0.7599)
F (0.7754, 0.7643, 0.2399)

=====

Record 5
Computed, not measured: a geometry-optimized V6O5F19 structure at the PBE+U level of DFT.

## Properties
- Space group: P1, No. 1
- Energy relative to the lowest polymorph listed for this composition: 0.00 eV per formula unit

Cell lengths 5.3974, 5.5735, 14.8044 Å; angles 79.17, 89.69, 88.37 degrees
Element x y z (fractional)
V (0.0000, 0.0000, 0.0000)
V (0.0005, 0.3341, 0.3328)
V (0.0244, 0.5909, 0.6693)
V (0.4948, 0.4443, 0.0121)
V (0.4953, 0.7782, 0.3449)
V (0.5520, 0.1249, 0.6731)
O (0.2673, 0.2527, 0.0300)
O (0.2684, 0.5857, 0.3619)
O (0.7664, 0.2003, 0.9832)
O (0.7678, 0.5355, 0.3149)
O (0.8484, 0.3720, 0.6502)
F (0.0059, 0.2505, 0.4539)
F (0.0074, 0.9133, 0.1211)
F (0.1423, 0.7231, 0.5602)
F (0.1652, 0.0539, 0.8947)
F (0.1668, 0.3828, 0.2276)
F (0.2810, 0.9336, 0.6963)
F (0.3289, 0.4091, 0.6955)
F (0.3508, 0.0614, 0.3649)
F (0.3513, 0.7294, 0.0309)
F (0.5011, 0.2293, 0.5541)
F (0.5033, 0.5393, 0.8913)
F (0.5050, 0.8763, 0.2242)
F (0.6576, 0.0868, 0.7881)
F (0.6619, 0.4030, 0.1173)
F (0.6615, 0.7344, 0.4502)
F (0.7643, 0.8507, 0.6493)
F (0.8577, 0.0611, 0.3136)
F (0.8583, 0.7276, 0.9797)
F (0.9907, 0.5947, 0.7875)

=====

Record 6
Computed, not measured: a geometry-optimized VOF2 structure at the PBE+U level of DFT.

## Properties
- Space group: C2, No. 5

Cell lengths 11.8961, 11.8961, 5.3972 Å; angles 101.23, 101.23, 25.30 degrees
Element x y z (fractional)
V (0.0815, 0.0815, 0.1167)
V (0.2514, 0.2504, 0.2673)
V (0.4234, 0.4065, 0.3867)
V (0.5935, 0.5766, 0.6133)
V (0.7496, 0.7486, 0.7327)
V (0.9185, 0.9185, 0.8833)
O (0.1152, 0.7408, 0.6449)
O (0.2592, 0.8848, 0.3551)
O (0.5090, 0.0130, 0.4735)
O (0.6601, 0.1478, 0.1878)
O (0.8522, 0.3399, 0.8122)
O (0.9870, 0.4910, 0.5265)
F (0.1922, 0.6811, 0.1535)
F (0.2166, 0.4499, 0.3227)
F (0.2331, 0.0992, 0.1457)
F (0.3189, 0.8078, 0.8465)
F (0.4572, 0.0718, 0.9695)
F (0.5501, 0.7834, 0.6773)
F (0.5659, 0.4341, 0.5000)
F (0.5792, 0.2179, 0.6898)
F (0.7821, 0.4208, 0.3102)
F (0.8752, 0.1248, 0.0000)
F (0.9008, 0.7669, 0.8543)
F (0.9282, 0.5428, 0.0305)

=====

Number 1: energy of formation from the pure elements -2.705 eV per atom. Number 2: energy of formation from the pure elements -2.691 eV per atom. Number 3: energy of formation from the pure elements -2.633 eV per atom. Number 4: energy of formation from the pure elements -2.708 eV per atom. Number 5: energy of formation from the pure elements -2.740 eV per atom. Number 6: energy of formation from the pure elements -2.853 eV per atom.